(1)
Density functional theory data (PBE) for a relaxed SrTiO3 crystal.

Calculated values
- formation enthalpy at 0 K (eV/atom) = -3.55
- space-group type = I4/mcm

```
data_SrTiO3
_chemical_formula_sum 'Sr2 Ti2 O6'
_cell_length_a 5.579
_cell_length_b 5.579
_cell_length_c 5.579
_cell_angle_alpha 120.03
_cell_angle_beta 120.03
_cell_angle_gamma 89.95
_space_group_name_H-M_alt 'P 1'
_space_group_IT_number 1
_space_group_name_Hall 'P 1'
loop_
_atom_site_label
_atom_site_fract_x
_atom_site_fract_y
_atom_site_fract_z
_atom_site_occupancy
Sr1 0.750 0.250 0.500 1
Sr2 0.250 0.750 0.500 1
Ti1 0.000 0.000 0.000 1
Ti2 0.500 0.500 0.000 1
O1 0.241 0.741 0.982 1
O2 0.741 0.759 0.500 1
O3 0.259 0.241 0.500 1
O4 0.750 0.750 0.000 1
O5 0.759 0.259 0.018 1
O6 0.250 0.250 0.000 1
```

(2)
Density functional theory data (PBE) for a relaxed Th2Ta2O9 crystal.

Calculated values
- total magnetic moment (μB per formula unit) = 0.00
- formation enthalpy at 0 K (eV/atom) = -3.78
- space-group type = C222_1

```
data_Th2Ta2O9
_chemical_formula_sum 'Th8 Ta8 O36'
_cell_length_a 9.783
_cell_length_b 9.783
_cell_length_c 7.474
_cell_angle_alpha 90.00
_cell_angle_beta 90.00
_cell_angle_gamma 106.66
_space_group_name_H-M_alt 'P 1'
_space_group_IT_number 1
_space_group_name_Hall 'P 1'
loop_
_atom_site_label
_atom_site_fract_x
_atom_site_fract_y
_atom_site_fract_z
_atom_site_occupancy
Th1 0.793 0.207 0.750 1
Th2 0.207 0.793 0.250 1
Th3 0.239 0.761 0.750 1
Th4 0.761 0.239 0.250 1
Th5 0.134 0.390 0.487 1
Th6 0.866 0.610 0.987 1
Th7 0.390 0.134 0.513 1
Th8 0.610 0.866 0.013 1
Ta1 0.991 0.991 0.500 1
Ta2 0.009 0.009 0.000 1
Ta3 0.495 0.505 0.750 1
Ta4 0.505 0.495 0.250 1
Ta5 0.600 0.855 0.501 1
Ta6 0.400 0.145 0.001 1
Ta7 0.855 0.600 0.499 1
Ta8 0.145 0.400 0.999 1
O1 0.176 0.176 0.500 1
O2 0.824 0.824 0.000 1
O3 0.818 0.818 0.500 1
O4 0.182 0.182 0.000 1
O5 0.431 0.431 0.500 1
O6 0.569 0.569 0.000 1
O7 0.973 0.027 0.750 1
O8 0.027 0.973 0.250 1
O9 0.292 0.491 0.801 1
O10 0.708 0.509 0.301 1
O11 0.491 0.292 0.199 1
O12 0.509 0.708 0.699 1
O13 0.371 0.792 0.020 1
O14 0.629 0.208 0.520 1
O15 0.792 0.371 0.980 1
O16 0.208 0.629 0.480 1
O17 0.101 0.853 0.969 1
O18 0.899 0.147 0.469 1
O19 0.853 0.101 0.031 1
O20 0.147 0.899 0.531 1
O21 0.670 0.966 0.717 1
O22 0.330 0.034 0.217 1
O23 0.966 0.670 0.283 1
O24 0.034 0.330 0.783 1
O25 0.657 0.978 0.297 1
O26 0.343 0.022 0.797 1
O27 0.978 0.657 0.703 1
O28 0.022 0.343 0.203 1
O29 0.583 0.107 0.000 1
O30 0.417 0.893 0.500 1
O31 0.107 0.583 0.000 1
O32 0.893 0.417 0.500 1
O33 0.544 0.697 0.321 1
O34 0.456 0.303 0.821 1
O35 0.697 0.544 0.679 1
O36 0.303 0.456 0.179 1
```